A:
This record from the Materials Project database describes a relaxed structure of ZnNiF5. The functional is PBE+U.

Cell: 5.1810 5.1811 7.4313 Å, 98.27 108.36 109.96°
Closest atoms and distances in Å follow each position.
Space group P1 (No. 1)
Asymmetric unit:
Zn (0.0000, 0.0000, 0.0000) (multiplicity 1)  5 F 1.96-2.08
Zn (0.4216, 0.9215, 0.4992) (multiplicity 1)  5 F 1.96-2.08
Ni (0.2129, 0.4616, 0.7493) (multiplicity 1)  6 F 1.82-2.02
Ni (0.7100, 0.4604, 0.2497) (multiplicity 1)  6 F 1.82-2.02
F (0.0769, 0.5733, 0.4981) (multiplicity 1)  2 Ni 2.02, 1 Zn 2.06
F (0.1185, 0.7228, 0.8772) (multiplicity 1)  1 Ni 1.83, 1 Zn 1.96
F (0.3109, 0.2008, 0.6268) (multiplicity 1)  1 Ni 1.82, 1 Zn 1.96
F (0.3442, 0.3472, 0.0006) (multiplicity 1)  2 Ni 2.02, 1 Zn 2.05
F (0.4626, 0.1423, 0.2907) (multiplicity 1)  1 Ni 1.84
F (0.5693, 0.7522, 0.7915) (multiplicity 1)  1 Ni 1.84
F (0.5758, 0.6774, 0.3798) (multiplicity 1)  1 Ni 1.82, 1 Zn 1.96
F (0.8437, 0.2430, 0.1195) (multiplicity 1)  1 Ni 1.82, 1 Zn 1.96
F (0.8553, 0.1722, 0.7048) (multiplicity 1)  1 Ni 1.83
F (0.9536, 0.7779, 0.2078) (multiplicity 1)  1 Ni 1.84


B:
This record from the Materials Project database describes a relaxed structure of ZnNiF5. The functional is PBE+U.

Cell: 5.1251 9.6305 7.4177 Å, 90.00 110.74 90.00°
Closest atoms and distances in Å follow each position.
Space group P2_1/c (No. 14)
Asymmetric unit:
Zn (0.0319, 0.0148, 0.2586) (multiplicity 4)  5 F 1.98-2.21
Ni (0.3938, 0.2490, 0.6019) (multiplicity 4)  6 F 1.86-1.98
F (0.0939, 0.1181, 0.5666) (multiplicity 4)  1 Ni 1.93, 1 Zn 2.08
F (0.1383, 0.1086, 0.9910) (multiplicity 4)  1 Ni 1.87
F (0.3028, 0.6318, 0.3591) (multiplicity 4)  1 Ni 1.87, 1 Zn 1.98
F (0.3456, 0.1826, 0.3397) (multiplicity 4)  2 Ni 1.98, 1 Zn 2.21
F (0.3653, 0.6022, 0.7922) (multiplicity 4)  1 Ni 1.86, 1 Zn 1.99


Which structure is the least stable? The one labeled A.


A:
This record from the Materials Project database describes a relaxed structure of V3Pb5O12F. The functional is PBE+U.

Cell: 10.3799 10.3799 7.3170 Å, 90.00 90.00 120.00°
Closest atoms and distances in Å follow each position.
Space group P6_3/m (No. 176)
Asymmetric unit:
V (0.0260, 0.6162, 0.2500) (multiplicity 6)  4 O 1.74-1.76
Pb (0.0186, 0.2435, 0.2500) (multiplicity 6)  5 O 2.43-2.61
Pb (0.3333, 0.6667, 0.5071) (multiplicity 4)  6 O 2.49-2.76
O (0.0895, 0.7349, 0.0615) (multiplicity 12)  1 V 1.74
O (0.1159, 0.5103, 0.2500) (multiplicity 6)  1 V 1.76
O (0.1669, 0.4971, 0.7500) (multiplicity 6)  1 V 1.74
F (0.0000, 0.0000, 0.0000) (multiplicity 2)  6 Pb 3.05, 6 O 3.35


B:
This record from the Materials Project database describes a relaxed structure of V3Pb5O12F. The functional is PBE+U.

Cell: 10.2999 10.2999 7.5465 Å, 90.00 90.00 120.00°
Closest atoms and distances in Å follow each position.
Space group P6_3/m (No. 176)
Asymmetric unit:
V (0.0283, 0.6291, 0.2500) (multiplicity 6)  4 O 1.74-1.76
Pb (0.0040, 0.2466, 0.2500) (multiplicity 6)  5 O 2.51-2.63, 1 F 2.52
Pb (0.3333, 0.6667, 0.5072) (multiplicity 4)  6 O 2.54-2.72
O (0.0888, 0.7477, 0.0675) (multiplicity 12)  1 V 1.74
O (0.1230, 0.5266, 0.2500) (multiplicity 6)  1 V 1.76
O (0.1669, 0.4907, 0.7500) (multiplicity 6)  1 V 1.76
F (0.0000, 0.0000, 0.2500) (multiplicity 2)  3 Pb 2.52


Which structure is the least stable? The one labeled A.


A:
This record from the Materials Project database describes a relaxed structure of V2OF5. The functional is PBE+U.

Cell: 9.4795 5.2578 17.6960 Å, 90.00 102.53 90.00°
Closest atoms and distances in Å follow each position.
Space group C2 (No. 5)
Asymmetric unit:
V (0.0445, 0.0000, 0.1837) (multiplicity 4)  1 O 1.68
V (0.0754, 0.5077, 0.6862) (multiplicity 4)  1 O 1.69
V (0.1887, 0.9735, 0.5646) (multiplicity 4)  5 F 1.96-1.99, 1 O 1.97
V (0.1903, 0.4880, 0.0642) (multiplicity 4)  1 O 1.96, 5 F 1.96-2.00
O (0.1192, 0.0662, 0.8714) (multiplicity 4)  1 V 1.68
O (0.1479, 0.7563, 0.6479) (multiplicity 4)  1 V 1.69
F (0.0000, 0.3896, 0.0000) (multiplicity 2)  2 V 1.98
F (0.0000, 0.8769, 0.5000) (multiplicity 2)  2 V 1.97
F (0.0179, 0.1938, 0.2744) (multiplicity 4)  2 V 1.96-2.06
F (0.0220, 0.6820, 0.7740) (multiplicity 4)  2 V 1.96-1.99
F (0.0996, 0.2716, 0.6032) (multiplicity 4)  2 V 1.97
F (0.1032, 0.7912, 0.1017) (multiplicity 4)  2 V 1.97-1.99
F (0.1222, 0.5757, 0.3727) (multiplicity 4)  2 V 1.97
F (0.1473, 0.2888, 0.1527) (multiplicity 4)  2 V 1.95-2.00
F (0.2222, 0.1829, 0.4768) (multiplicity 4)  2 V 1.96-1.99
F (0.2286, 0.6829, 0.9743) (multiplicity 4)  2 V 1.96-1.99
F (0.2421, 0.8954, 0.2471) (multiplicity 4)  2 V 1.96-2.04


B:
This record from the Materials Project database describes a relaxed structure of V2OF5. The functional is PBE+U.

Cell: 5.1759 5.3565 17.1870 Å, 83.28 81.37 61.14°
Closest atoms and distances in Å follow each position.
Space group P1 (No. 1)
Asymmetric unit:
V (0.0000, 0.0000, 0.0000) (multiplicity 1)  1 O 1.76, 2 F 1.93
V (0.0833, 0.1328, 0.6335) (multiplicity 1)  1 O 1.76, 4 F 1.93-1.96
V (0.1986, 0.2885, 0.2480) (multiplicity 1)  1 O 1.76, 4 F 1.93-1.96
V (0.3480, 0.4221, 0.8813) (multiplicity 1)  1 O 1.76, 3 F 1.93-1.97
V (0.4810, 0.4999, 0.4999) (multiplicity 1)  1 O 1.76, 4 F 1.93-1.95
V (0.6241, 0.6308, 0.1302) (multiplicity 1)  1 O 1.76, 4 F 1.92-1.96
V (0.7343, 0.7910, 0.7510) (multiplicity 1)  1 O 1.76, 4 F 1.93-1.96
V (0.8306, 0.9208, 0.3825) (multiplicity 1)  1 O 1.76, 4 F 1.93-1.96
O (0.2336, 0.7121, 0.9403) (multiplicity 1)  2 V 1.76
O (0.7215, 0.2101, 0.4413) (multiplicity 1)  2 V 1.76
O (0.9250, 0.9796, 0.7087) (multiplicity 1)  2 V 1.76
O (0.9604, 0.4435, 0.1731) (multiplicity 1)  2 V 1.76
F (0.0065, 0.0574, 0.2918) (multiplicity 1)  2 V 1.93-1.96
F (0.0093, 0.4581, 0.6902) (multiplicity 1)  2 V 1.94-1.96
F (0.1797, 0.8360, 0.5631) (multiplicity 1)  2 V 1.93-2.02
F (0.1930, 0.2306, 0.9659) (multiplicity 1)  2 V 1.93-1.98
F (0.2138, 0.8542, 0.0916) (multiplicity 1)  2 V 1.93-2.04
F (0.2233, 0.6889, 0.4162) (multiplicity 1)  2 V 1.94-1.95
F (0.2470, 0.3118, 0.5429) (multiplicity 1)  2 V 1.94-2.02
F (0.4294, 0.4846, 0.2155) (multiplicity 1)  2 V 1.93-1.96
F (0.4368, 0.0890, 0.8167) (multiplicity 1)  2 V 1.93-2.04
F (0.4556, 0.1058, 0.3379) (multiplicity 1)  2 V 1.94-2.03
F (0.4796, 0.9324, 0.6653) (multiplicity 1)  2 V 1.93-1.96
F (0.5014, 0.9634, 0.1909) (multiplicity 1)  2 V 1.94-1.95
F (0.5132, 0.5638, 0.7900) (multiplicity 1)  2 V 1.93-2.04
F (0.6761, 0.7313, 0.4660) (multiplicity 1)  2 V 1.94-1.96
F (0.6920, 0.3334, 0.0646) (multiplicity 1)  2 V 1.92-2.04
F (0.7006, 0.3639, 0.5908) (multiplicity 1)  2 V 1.93-1.96
F (0.7362, 0.1920, 0.9162) (multiplicity 1)  2 V 1.93-1.97
F (0.7541, 0.8155, 0.0415) (multiplicity 1)  2 V 1.93-1.97
F (0.9354, 0.5837, 0.3188) (multiplicity 1)  2 V 1.93-2.02
F (0.9591, 0.6086, 0.8400) (multiplicity 1)  2 V 1.93-1.97


Which structure is the least stable? The one labeled B.